The following is a DFT calculation (GGA-PBE) of RbMg6Mo after structural relaxation.

Structure (extended XYZ):
```
8
Lattice="-2.622 -5.607 -3.126 -2.077 -2.454 6.144 -3.664 1.966 -0.453" Properties=species:S:1:pos:R:3 pbc="T T T"
Mg -1.387 -2.380 0.891
Mg -2.461 -4.676 -0.389
Mg -2.870 -0.244 2.845
Mg -2.238 -3.385 3.407
Mg -3.311 -5.681 2.127
Mg -3.143 -1.821 -1.790
Mo -4.181 -3.048 1.282
Rb -1.832 0.983 -0.227
```

Results
Energy relative to the elements in meV per atom: 397
Space-group type: P4/mmm, No. 123
Excess energy over the best structure of this formula in the dataset in meV/atom: 0.0
Density in g/cm³: 2.7
Total energy in Ry/atom: -0.16766